# CaTiNbSnO6, optimized geometry, DFT GGA-PBE
# Calculated total energy (eV/atom): -7.82
# DFT formation energy (eV/atom): -2.86
data_CaTiNbSnO6
_symmetry_space_group_name_H-M 'F -4 3 m'
_symmetry_Int_Tables_number 216
_symmetry_space_group_name_Hall 'F -4 2 3'
_cell_length_a 7.998
_cell_length_b 7.998
_cell_length_c 7.998
_cell_angle_alpha 90.00
_cell_angle_beta 90.00
_cell_angle_gamma 90.00
loop_
_atom_site_label
_atom_site_fract_x
_atom_site_fract_y
_atom_site_fract_z
Ca1 0.000 0.000 0.000
Ti1 0.250 0.250 0.750
Nb1 0.250 0.250 0.250
Sn1 0.000 0.000 0.500
O1 0.003 0.250 0.750